No. 1
AgPS3 PBE optimized geometry; space-group type = C2/m; energy of formation = -2.3 eV per formula unit; crystal system = monoclinic
1.0
5.5004 -3.6448 0.0000
5.5004 3.6448 0.0000
-4.4578 0.0000 6.2566
Ag P S
2 2 6
direct
0.2462 0.7538 0.0000
0.7538 0.2462 0.0000
0.1445 0.1445 0.7074
0.8555 0.8555 0.2926
0.1711 0.1711 0.9905
0.2142 0.7858 0.5000
0.3319 0.3319 0.7190
0.6681 0.6681 0.2810
0.7858 0.2142 0.5000
0.8289 0.8289 0.0095

No. 2
ScAgP2Se6 PBE optimized geometry; space-group type = P-31c; energy of formation = -8.1 eV per formula unit; crystal system = trigonal
1.0
6.5350 0.0000 0.0000
-3.2675 5.6595 0.0000
0.0000 0.0000 15.1689
Sc Ag P Se
2 2 4 12
direct
0.0000 0.0000 0.2500
0.0000 0.0000 0.7500
0.3333 0.6667 0.2500
0.6667 0.3333 0.7500
0.3333 0.6667 0.6758
0.3333 0.6667 0.8242
0.6667 0.3333 0.1758
0.6667 0.3333 0.3242
0.0240 0.3286 0.6331
0.0240 0.6955 0.8669
0.3045 0.3286 0.8669
0.3045 0.9760 0.6331
0.3286 0.0240 0.1331
0.3286 0.3045 0.3669
0.6714 0.6955 0.6331
0.6714 0.9760 0.8669
0.6955 0.0240 0.3669
0.6955 0.6714 0.1331
0.9760 0.3045 0.1331
0.9760 0.6714 0.3669

No. 3
Ag7PSe6 PBE optimized geometry; space-group type = P2_13; ΔE to the lowest computed polymorph = 0 kJ/mol of formula units; energy of formation = -4.3 eV per formula unit; crystal system = cubic
1.0
10.9638 0.0000 0.0000
0.0000 10.9638 0.0000
0.0000 0.0000 10.9638
Ag P Se
28 4 24
direct
0.0104 0.0184 0.2790
0.0184 0.2790 0.0104
0.0701 0.8930 0.7278
0.1070 0.2278 0.4299
0.1552 0.6552 0.8448
0.2210 0.9896 0.5184
0.2278 0.4299 0.1070
0.2722 0.5701 0.6070
0.2790 0.0104 0.0184
0.3448 0.3448 0.3448
0.3930 0.7722 0.9299
0.4299 0.1070 0.2278
0.4816 0.7210 0.5104
0.4896 0.9816 0.7790
0.5104 0.4816 0.7210
0.5184 0.2210 0.9896
0.5701 0.6070 0.2722
0.6070 0.2722 0.5701
0.6552 0.8448 0.1552
0.7210 0.5104 0.4816
0.7278 0.0701 0.8930
0.7722 0.9299 0.3930
0.7790 0.4896 0.9816
0.8448 0.1552 0.6552
0.8930 0.7278 0.0701
0.9299 0.3930 0.7722
0.9816 0.7790 0.4896
0.9896 0.5184 0.2210
0.2454 0.7546 0.2546
0.2546 0.2454 0.7546
0.7454 0.7454 0.7454
0.7546 0.2546 0.2454
0.0207 0.5207 0.9793
0.1199 0.8608 0.1323
0.1323 0.1199 0.8608
0.1346 0.3654 0.6346
0.1392 0.6323 0.3801
0.2117 0.2117 0.2117
0.2883 0.7883 0.7117
0.3608 0.3677 0.8801
0.3654 0.6346 0.1346
0.3677 0.8801 0.3608
0.3801 0.1392 0.6323
0.4793 0.4793 0.4793
0.5207 0.9793 0.0207
0.6199 0.6392 0.8677
0.6323 0.3801 0.1392
0.6346 0.1346 0.3654
0.6392 0.8677 0.6199
0.7117 0.2883 0.7883
0.7883 0.7117 0.2883
0.8608 0.1323 0.1199
0.8654 0.8654 0.8654
0.8677 0.6199 0.6392
0.8801 0.3608 0.3677
0.9793 0.0207 0.5207